YB4Rh | PBE | optimized geometry

a b c (Å): 5.9706 11.5861 3.5764
angles (deg): 90.00 90.00 90.00
With the nearest neighbours (Å) after each atom.
Space group Pbam (No. 55)
One atom of each set of equivalent atoms:
Y 0.1314 0.1489 0.0000  14 B 2.63-2.78
B 0.0217 0.6925 0.5000  3 B 1.77-1.86
B 0.1121 0.5469 0.5000  3 B 1.72-1.77
B 0.1365 0.9693 0.5000  3 B 1.75-1.86
B 0.2101 0.8131 0.5000  3 B 1.79-1.86
Rh 0.1424 0.4057 0.0000  10 B 2.26-2.43

Summary:
- final energy (eV per atom) = -7.36